(1)
Compound: Ti4As3
Source: the Materials Project database
Functional: PBE-GGA
Structure: optimized geometry

Cell lengths 6.661, 6.661, 6.661 Å; angles 109.47, 109.47, 109.47 degrees
Fractional positions:
Ti (0.500, 0.000, 0.649)
Ti (0.351, 0.351, 0.351)
Ti (0.000, 0.149, 0.500)
Ti (0.851, 0.851, 0.851)
Ti (0.000, 0.649, 0.500)
Ti (0.149, 0.500, 0.000)
Ti (0.500, 0.000, 0.149)
Ti (0.649, 0.500, 0.000)
As (0.875, 0.250, 0.125)
As (0.750, 0.375, 0.625)
As (0.625, 0.750, 0.375)
As (0.125, 0.875, 0.250)
As (0.250, 0.125, 0.875)
As (0.375, 0.625, 0.750)

Output
total DFT energy (no corrections)	-7.4031	eV/atom
crystal system	cubic
energy of formation	-0.895	eV/atom

***

(2)
Compound: TiAs
Source: the Materials Project database
Functional: PBE-GGA
Structure: optimized geometry

Cell lengths 3.670, 3.670, 6.106 Å; angles 90.00, 90.00, 120.00 degrees
Fractional positions:
As (0.333, 0.667, 0.750)
As (0.667, 0.333, 0.250)
Ti (0.000, 0.000, 0.000)
Ti (0.000, 0.000, 0.500)

Output
total DFT energy (no corrections)	-7.1835	eV/atom
crystal system	hexagonal
energy of formation	-0.906	eV/atom

***

(3)
Compound: TiAs
Source: the Materials Project database
Functional: PBE-GGA
Structure: optimized geometry

Cell lengths 3.649, 3.649, 12.118 Å; angles 90.00, 90.00, 120.00 degrees
Fractional positions:
As (0.000, 0.000, 0.000)
As (0.667, 0.333, 0.750)
As (0.000, 0.000, 0.500)
As (0.333, 0.667, 0.250)
Ti (0.333, 0.667, 0.617)
Ti (0.667, 0.333, 0.117)
Ti (0.667, 0.333, 0.383)
Ti (0.333, 0.667, 0.883)

Output
total DFT energy (no corrections)	-7.1974	eV/atom
crystal system	hexagonal
energy of formation	-0.920	eV/atom

***

(4)
Compound: Ti3As
Source: the Materials Project database
Functional: PBE-GGA
Structure: optimized geometry

Cell lengths 5.022, 5.022, 5.022 Å; angles 90.00, 90.00, 90.00 degrees
Fractional positions:
Ti (0.500, 0.250, 0.000)
Ti (0.750, 0.000, 0.500)
Ti (0.000, 0.500, 0.250)
Ti (0.250, 0.000, 0.500)
Ti (0.500, 0.750, 0.000)
Ti (0.000, 0.500, 0.750)
As (0.500, 0.500, 0.500)
As (0.000, 0.000, 0.000)

Output
total DFT energy (no corrections)	-7.5841	eV/atom
crystal system	cubic
total moment	0.060	μB per formula unit
energy of formation	-0.498	eV/atom
polymorph energy (0 for the lowest one)	165	meV per atom

***

(5)
Compound: TiAs
Source: the Materials Project database
Functional: PBE-GGA
Structure: optimized geometry

Cell lengths 3.599, 3.599, 6.332 Å; angles 90.00, 90.00, 120.00 degrees
Fractional positions:
As (0.000, 0.000, 0.000)
As (0.000, 0.000, 0.500)
Ti (0.333, 0.667, 0.250)
Ti (0.667, 0.333, 0.750)

Output
total DFT energy (no corrections)	-6.9624	eV/atom
crystal system	hexagonal
total moment	0.005	μB per formula unit
energy of formation	-0.685	eV/atom

***

(6)
Compound: Ti3As
Source: the Materials Project database
Functional: PBE-GGA
Structure: optimized geometry

Cell lengths 10.167, 10.167, 5.117 Å; angles 90.00, 90.00, 90.00 degrees
Fractional positions:
Ti (0.143, 0.972, 0.714)
Ti (0.581, 0.105, 0.965)
Ti (0.784, 0.682, 0.505)
Ti (0.284, 0.182, 0.995)
Ti (0.472, 0.357, 0.214)
Ti (0.682, 0.216, 0.495)
Ti (0.395, 0.081, 0.465)
Ti (0.318, 0.784, 0.495)
Ti (0.357, 0.528, 0.786)
Ti (0.028, 0.143, 0.286)
Ti (0.081, 0.605, 0.535)
Ti (0.216, 0.318, 0.505)
Ti (0.818, 0.284, 0.005)
Ti (0.919, 0.395, 0.535)
Ti (0.716, 0.818, 0.995)
Ti (0.643, 0.472, 0.786)
Ti (0.105, 0.419, 0.035)
Ti (0.605, 0.919, 0.465)
Ti (0.419, 0.895, 0.965)
Ti (0.182, 0.716, 0.005)
Ti (0.895, 0.581, 0.035)
Ti (0.857, 0.028, 0.714)
Ti (0.972, 0.857, 0.286)
Ti (0.528, 0.643, 0.214)
As (0.041, 0.206, 0.788)
As (0.959, 0.794, 0.788)
As (0.459, 0.294, 0.712)
As (0.794, 0.041, 0.212)
As (0.541, 0.706, 0.712)
As (0.206, 0.959, 0.212)
As (0.294, 0.541, 0.288)
As (0.706, 0.459, 0.288)

Output
total DFT energy (no corrections)	-7.7489	eV/atom
crystal system	tetragonal
energy of formation	-0.662	eV/atom
polymorph energy (0 for the lowest one)	0	meV per atom

***

(7)
Compound: TiVAs2
Source: the Materials Project database
Functional: PBE-GGA
Structure: optimized geometry

Cell lengths 3.522, 3.522, 6.257 Å; angles 90.00, 90.00, 120.00 degrees
Fractional positions:
As (0.333, 0.667, 0.257)
As (0.667, 0.333, 0.743)
V (0.000, 0.000, 0.500)
Ti (0.000, 0.000, 0.000)

Output
total DFT energy (no corrections)	-7.2252	eV/atom
crystal system	trigonal
total moment	1.294	μB per formula unit
energy of formation	-0.651	eV/atom

***

(8)
Compound: TlAs
Source: the Materials Project database
Functional: PBE-GGA
Structure: optimized geometry

Cell lengths 4.497, 4.497, 4.497 Å; angles 60.00, 60.00, 60.00 degrees
Fractional positions:
As (0.250, 0.250, 0.250)
Tl (0.000, 0.000, 0.000)

Output
total DFT energy (no corrections)	-3.3942	eV/atom
crystal system	cubic
total moment	0.001	μB per formula unit
energy of formation	0.117	eV/atom

***

- What is the energy of formation in the fifth record?
  -0.685 eV/atom

***

- The highest energy of formation belongs to which entry?
  TlAs

***

- Which of these has the lowest total DFT energy (no corrections)?
  number 6

***

- Which value of total DFT energy (no corrections) does entry 6 give?
  -7.7489 eV/atom